[1]
20
Lattice="-3.178 1.485 3.722 -5.721 -4.513 -2.942 -0.222 -8.285 3.213" Properties=species:S:1:pos:R:3 comment="PBE+U LiFeSi2O6, optimized geometry" spacegroup="No. 1" energy_ev_per_atom=-7.182 e_above_lowest_polymorph_mev_per_atom=28 pbc="T T T"
O -2.148 -3.441 0.211
O -4.129 -1.672 0.552
O -8.075 -6.878 1.613
O -6.059 -8.374 2.475
O -1.301 -7.423 3.940
O -4.396 -7.330 4.272
O -6.455 -8.844 5.051
O -6.254 -5.941 -0.885
O -1.342 -4.300 2.998
O -4.566 -3.936 -0.753
O -8.025 -3.803 0.642
O -2.789 -4.976 5.141
Fe -0.854 -3.229 1.499
Fe -2.777 -6.886 5.024
Li -1.110 -6.123 2.534
Li -7.070 -5.474 0.779
Si -7.440 -8.393 1.601
Si -5.609 -4.696 -1.747
Si -5.305 -8.626 3.903
Si -3.452 -2.766 -0.468

---

[2]
78
Lattice="-2.883 2.625 10.910 -4.500 -9.935 1.201 6.176 -8.388 3.651" Properties=species:S:1:pos:R:3 comment="PBE+U LiFe2Si2O8, optimized geometry" spacegroup="No. 3" energy_ev_per_atom=-6.894 e_above_lowest_polymorph_mev_per_atom=3 pbc="T T T"
Si -4.360 -10.742 7.568
Si -5.735 -5.183 9.984
Si 2.606 -8.765 13.051
Si -2.271 -9.115 3.594
Si 3.161 -4.964 8.165
Si 3.009 -8.355 4.806
Si 0.932 -10.010 8.840
Si -2.671 -9.481 11.838
Si -0.050 -4.186 3.057
Si -0.463 -4.464 11.214
Si 0.760 -13.257 5.454
Si -2.155 -5.674 6.981
O 0.857 -4.696 4.332
O -2.124 -10.979 11.418
O 4.136 -7.404 4.096
O -1.050 -8.562 2.632
O -2.360 -4.131 7.518
O 2.398 -10.340 8.232
O 0.519 -12.661 12.268
O 2.273 -7.631 11.927
O -2.860 -8.580 10.505
O -3.499 -8.060 3.792
O 0.686 -11.143 10.010
O -1.117 -0.751 5.295
O 1.311 -9.183 13.984
O 1.014 -3.404 2.110
O 2.315 -4.859 6.760
O -3.101 -1.786 8.695
O -4.352 -9.129 7.929
O 1.756 -7.507 5.400
O -1.237 -3.213 3.573
O -0.597 -5.990 6.666
O -1.628 -13.453 10.110
O -4.991 -4.264 11.135
O 0.258 -15.264 9.151
O -0.249 -10.037 7.732
O 2.803 -6.258 9.129
O 0.226 -5.819 10.656
O -4.087 -9.749 12.584
O -1.089 -13.937 14.050
O -5.045 -6.643 9.755
O -1.673 -8.603 12.811
O 1.448 -13.776 6.824
O -3.116 -5.803 5.683
O -0.119 -1.755 7.694
O -2.973 -11.340 6.922
O 1.973 -12.487 4.649
O -0.575 -12.358 5.797
O 2.328 -9.400 3.726
O -2.383 0.301 10.282
O 0.458 -3.745 12.341
O 0.182 -14.483 4.556
O -2.562 -6.740 8.138
O -0.823 -5.358 2.194
O 3.874 -9.079 5.986
O 0.866 -8.514 9.471
O -1.546 -9.481 5.002
O -3.032 -10.398 2.922
O -1.892 -4.949 11.874
O -0.576 -3.360 9.993
Li 2.169 -3.358 5.303
Li -1.446 1.316 5.470
Li 1.125 -2.407 9.253
Li -2.297 -4.925 0.777
Li -2.011 -6.568 13.205
Li -4.136 -3.251 7.735
Fe -1.514 -2.760 8.477
Fe 1.552 -7.035 10.319
Fe 1.850 -14.947 8.174
Fe -0.659 -12.059 10.940
Fe -2.090 -1.632 3.929
Fe -0.457 -8.606 14.241
Fe -1.272 -10.685 6.353
Fe -3.627 -4.473 12.408
Fe -2.732 -13.587 14.832
Fe -1.350 0.505 11.807
Fe 1.018 -5.881 5.802
Fe -3.727 -7.783 9.104

---

[3]
92
Lattice="5.034 0.000 0.000 0.000 13.880 0.000 0.000 0.000 14.081" Properties=species:S:1:pos:R:3 comment="PBE+U Li4Fe2Si4O13, optimized geometry" spacegroup="No. 33" energy_ev_per_atom=-6.911 pbc="T T T"
O 1.399 7.390 12.495
O 4.386 5.893 11.744
O 4.636 6.594 7.924
O 2.198 7.850 7.335
O 4.328 2.146 4.883
O 4.892 4.389 0.348
O 0.081 12.146 7.403
O 2.436 5.206 7.403
O 0.893 5.625 2.917
O 1.253 3.023 2.244
O 3.410 1.316 9.958
O 1.869 1.047 4.704
O 1.810 4.795 11.924
O 0.886 10.869 4.824
O 1.677 9.398 9.951
O 0.398 7.286 0.883
O 1.631 3.929 4.824
O 2.915 13.535 7.924
O 4.730 3.943 6.793
O 0.648 7.987 4.704
O 3.357 4.483 2.910
O 3.897 0.476 2.914
O 3.916 13.431 5.455
O 1.380 6.464 9.954
O 2.213 2.997 13.834
O 2.836 6.030 0.295
O 2.119 0.346 0.883
O 4.194 11.423 2.910
O 2.821 10.883 6.793
O 3.224 9.086 4.883
O 1.264 9.963 2.244
O 4.148 3.011 11.864
O 1.118 0.450 12.495
O 3.635 6.491 5.455
O 1.137 13.404 9.954
O 2.375 2.551 7.388
O 0.840 2.457 9.951
O 0.142 9.491 7.388
O 3.165 12.834 11.744
O 1.624 12.565 2.917
O 4.953 1.734 0.362
O 4.141 8.256 9.958
O 3.781 10.857 9.285
O 2.659 11.329 0.348
O 3.403 9.952 11.864
O 0.707 11.735 11.924
O 2.598 8.675 0.362
O 4.715 12.971 0.295
O 3.770 3.917 9.285
O 0.319 0.910 7.335
O 0.304 9.938 13.834
O 3.654 7.417 2.914
Li 3.768 10.926 4.794
Li 0.912 0.546 3.062
Li 0.717 5.089 8.573
Li 4.122 13.334 10.103
Li 1.800 12.029 8.573
Li 1.605 7.487 3.062
Li 4.251 8.471 12.976
Li 0.783 5.410 5.935
Li 3.784 3.986 4.794
Li 3.234 1.851 1.533
Li 1.251 9.894 11.835
Li 3.429 6.394 10.103
Li 1.266 2.954 11.835
Li 3.300 1.531 12.976
Li 4.317 8.792 1.533
Li 1.734 12.350 5.935
Si 4.082 7.781 4.462
Si 1.666 10.070 0.633
Si 0.747 0.292 0.031
Si 3.470 0.841 4.462
Si 4.284 2.644 10.265
Si 1.770 7.233 0.031
Si 0.851 3.130 0.633
Si 1.766 4.296 3.225
Si 0.952 6.099 11.502
Si 1.565 13.040 11.502
Si 3.268 9.584 10.265
Si 3.264 6.648 7.071
Si 0.751 11.236 3.225
Si 3.368 3.810 7.673
Si 4.183 10.751 7.673
Si 4.287 13.588 7.071
Fe 3.450 4.585 12.941
Fe 0.933 2.355 5.900
Fe 0.720 8.064 8.853
Fe 4.314 5.816 1.812
Fe 4.101 11.525 12.941
Fe 1.797 1.124 8.853
Fe 3.237 12.756 1.812
Fe 1.584 9.295 5.900

---

[4]
54
Lattice="7.020 0.000 0.000 1.273 9.670 0.000 3.466 1.346 9.599" Properties=species:S:1:pos:R:3 comment="PBE+U Li2Fe3Si6O16, optimized geometry" spacegroup="No. 2" energy_ev_per_atom=-7.320 pbc="T T T"
O 7.468 3.044 1.598
O 7.564 1.382 3.814
O 5.970 3.556 8.924
O 5.746 6.233 9.438
O 10.886 10.617 8.317
O 7.119 9.856 5.897
O 4.066 8.026 3.278
O 5.789 7.460 0.675
O 7.475 5.317 7.632
O 4.864 2.952 1.638
O 7.282 5.326 4.968
O 4.195 9.634 5.785
O 7.694 2.991 6.321
O 6.897 5.723 2.408
O 2.125 7.505 0.602
O 9.634 3.511 8.997
O 9.551 5.066 6.251
O 4.292 0.399 1.125
O 2.615 2.194 2.431
O 4.862 5.293 7.191
O 6.895 8.065 7.962
O 7.396 7.887 3.912
O 2.208 5.951 3.348
O 0.873 0.399 1.282
O 6.014 4.783 0.161
O 9.144 8.822 7.168
O 7.467 10.617 8.475
O 4.640 1.160 3.702
O 4.363 3.130 5.687
O 4.477 5.691 4.631
O 4.285 5.699 1.967
O 4.291 7.972 8.001
Fe 6.073 2.083 5.052
Fe 4.346 2.263 8.731
Fe 7.819 2.392 8.537
Fe 7.413 8.753 0.868
Fe 3.940 8.625 1.062
Fe 5.686 8.933 4.547
Si 3.772 6.439 3.358
Si 6.003 5.034 8.309
Si 1.053 1.670 2.321
Si 7.987 4.578 6.241
Si 4.094 4.704 5.886
Si 7.614 9.417 7.363
Si 4.145 1.599 2.237
Si 6.134 3.188 0.640
Si 10.706 9.347 7.278
Si 5.625 7.829 8.959
Si 7.665 6.312 3.713
Si 5.756 5.983 1.290
Li 8.784 9.220 4.501
Li 9.431 6.692 7.820
Li 2.975 1.796 5.098
Li 2.328 4.324 1.780

---

[5]
32
Lattice="5.042 0.000 0.000 0.000 6.335 0.000 0.000 0.000 10.762" Properties=species:S:1:pos:R:3 comment="PBE+U Li2FeSiO4, optimized geometry" spacegroup="No. 62" energy_ev_per_atom=-6.626 e_above_lowest_polymorph_mev_per_atom=0 pbc="T T T"
O 4.271 1.584 3.648
O 3.292 1.584 9.029
O 1.750 4.751 1.733
O 1.080 0.225 9.758
O 3.661 4.751 8.737
O 1.441 0.225 4.377
O 1.441 2.942 4.377
O 1.381 1.584 2.025
O 3.601 3.393 6.385
O 3.601 6.109 6.385
O 3.962 3.393 1.004
O 1.140 1.584 7.406
O 3.902 4.751 3.356
O 1.080 2.942 9.758
O 3.962 6.109 1.004
O 0.771 4.751 7.114
Li 3.445 6.327 4.438
Li 4.118 6.327 9.819
Li 1.597 0.008 6.324
Li 0.924 0.008 0.943
Li 4.118 3.175 9.819
Li 1.597 3.159 6.324
Li 3.445 3.175 4.438
Li 0.924 3.159 0.943
Si 3.401 4.751 1.772
Si 4.161 4.751 7.153
Si 1.640 1.584 8.990
Si 0.880 1.584 3.609
Fe 1.585 4.751 9.020
Fe 4.106 1.584 7.123
Fe 0.936 4.751 3.639
Fe 3.457 1.584 1.742

---

[6]
56
Lattice="5.803 0.000 0.000 0.000 7.517 0.000 0.000 0.000 15.931" Properties=species:S:1:pos:R:3 comment="PBE+U LiFeSiO4, optimized geometry" spacegroup="No. 61" energy_ev_per_atom=-6.826 e_above_lowest_polymorph_mev_per_atom=81 pbc="T T T"
O 4.884 3.892 8.912
O 1.982 3.892 14.984
O 0.166 6.360 9.928
O 2.506 5.052 8.802
O 5.021 2.787 3.269
O 0.782 6.546 4.696
O 5.021 0.972 11.234
O 1.982 7.384 7.019
O 3.821 3.625 0.946
O 0.395 1.293 8.802
O 3.684 6.546 3.269
O 5.637 1.157 6.003
O 5.637 2.602 13.968
O 2.506 6.225 0.837
O 2.119 2.787 4.696
O 3.297 2.466 7.128
O 3.068 4.916 6.003
O 5.408 6.225 7.128
O 0.919 0.134 14.984
O 3.297 1.293 15.094
O 3.684 4.730 11.234
O 0.166 4.916 1.962
O 2.735 1.157 1.962
O 3.068 6.360 13.968
O 5.408 5.052 15.094
O 4.884 7.384 0.946
O 2.119 0.972 12.662
O 0.919 3.625 7.019
O 2.735 2.602 9.928
O 3.821 0.134 8.912
O 0.395 2.466 0.837
O 0.782 4.730 12.662
Fe 5.271 2.397 7.423
Fe 2.370 2.397 0.543
Fe 0.532 6.156 0.543
Fe 2.370 1.361 8.508
Fe 3.433 6.156 7.423
Fe 3.433 5.120 15.388
Fe 0.532 5.120 8.508
Fe 5.271 1.361 15.388
Si 2.346 3.440 6.124
Si 2.346 0.319 14.090
Si 3.458 4.078 9.806
Si 5.247 0.319 9.806
Si 3.458 7.198 1.841
Si 0.556 4.078 14.090
Si 5.247 3.440 1.841
Si 0.556 7.198 6.124
Li 3.428 1.862 11.668
Li 5.277 5.621 11.668
Li 5.277 5.655 3.703
Li 3.428 1.896 3.703
Li 0.526 1.896 4.262
Li 2.375 5.621 12.228
Li 0.526 1.862 12.228
Li 2.375 5.655 4.262

---

Results for ΔH_f (0 K): -2.728; -2.335; -2.687; -2.758; -2.563; -2.456 (in eV/atom, following the order of the records).
Results for spin magnetization: 0.000; 9.000; 10.001; 12.000; 4.000; 5.000 (in μB per formula unit, following the order of the records).
Results for volume: 16.225; 15.634; 10.694; 12.068; 10.741; 12.410 (in A^3/atom, following the order of the records).